Compound: NaH8O5
Source: the Materials Project database
Functional: r²SCAN
Structure: optimized geometry

crystal system: monoclinic
energy of formation from the pure elements: -1102.8 meV/atom
energy: -5.465 eV/atom

a = 7.7493 Å, b = 7.7493 Å, c = 11.1417 Å
α = 115.76°, β = 115.76°, γ = 48.68°
Fractional positions:
Na 0.1961 0.2051 0.4301
Na 0.2051 0.1961 0.9301
Na 0.7949 0.8039 0.0699
Na 0.8039 0.7949 0.5699
H 0.0334 0.0771 0.6635
H 0.0771 0.0334 0.1635
H 0.1005 0.3698 0.6885
H 0.1055 0.7582 0.4853
H 0.1404 0.6254 0.9280
H 0.1866 0.6580 0.2917
H 0.2418 0.8945 0.0147
H 0.2666 0.4424 0.7122
H 0.2865 0.6749 0.6262
H 0.2922 0.5482 0.0682
H 0.3251 0.7135 0.8738
H 0.3420 0.8134 0.2083
H 0.3698 0.1005 0.1885
H 0.3746 0.8596 0.5720
H 0.4424 0.2666 0.2122
H 0.4518 0.7078 0.4318
H 0.5482 0.2922 0.5682
H 0.5576 0.7334 0.7878
H 0.6254 0.1404 0.4280
H 0.6302 0.8995 0.8115
H 0.6580 0.1866 0.7917
H 0.6749 0.2865 0.1262
H 0.7078 0.4518 0.9318
H 0.7135 0.3251 0.3738
H 0.7334 0.5576 0.2878
H 0.7582 0.1055 0.9853
H 0.8134 0.3420 0.7083
H 0.8596 0.3746 0.0720
H 0.8945 0.2418 0.5147
H 0.8995 0.6302 0.3115
H 0.9229 0.9666 0.8365
H 0.9666 0.9229 0.3365
O 0.0168 0.7576 0.2975
O 0.1219 0.8006 0.5841
O 0.1256 0.4453 0.6529
O 0.1614 0.5517 0.9891
O 0.1994 0.8781 0.9159
O 0.2424 0.9832 0.2025
O 0.4453 0.1256 0.1529
O 0.4483 0.8386 0.5109
O 0.4607 0.5000 0.3010
O 0.5000 0.4607 0.8010
O 0.5000 0.5393 0.1990
O 0.5393 0.5000 0.6990
O 0.5517 0.1614 0.4891
O 0.5547 0.8744 0.8471
O 0.7576 0.0168 0.7975
O 0.8006 0.1219 0.0841
O 0.8386 0.4483 0.0109
O 0.8744 0.5547 0.3471
O 0.8781 0.1994 0.4159
O 0.9832 0.2424 0.7025